# 1
DFT (PBE-GGA) results for an optimized crystal structure of Ba2ScTi2BiO9.

Lattice parameters (Å, degrees): 9.0069 9.0069 4.0434 90.00 90.00 142.59
Fractional coordinates of all 15 atoms:
Ba: 0.1666 0.8334 0.0000
Ba: 0.8334 0.1666 0.0000
Sc: 0.0000 0.0000 0.5000
Ti: 0.3341 0.6659 0.5000
Ti: 0.6659 0.3341 0.5000
Bi: 0.5000 0.5000 0.0000
O: 0.0000 0.0000 0.0000
O: 0.0000 0.5000 0.5000
O: 0.1885 0.3541 0.5000
O: 0.3364 0.6636 0.0000
O: 0.3541 0.1885 0.5000
O: 0.5000 0.0000 0.5000
O: 0.6459 0.8115 0.5000
O: 0.6636 0.3364 0.0000
O: 0.8115 0.6459 0.5000

Energy of formation, eV per formula unit: -47.6
Energy, eV per atom: -7.722
Volume, Å³/f.u.: 199.3



# 2
DFT (PBE-GGA) results for an optimized crystal structure of NaMgTi2BiO6.

Lattice parameters (Å, degrees): 5.5488 5.5593 6.0396 112.69 112.30 90.04
Fractional coordinates of all 11 atoms:
Na: 0.0000 0.0000 0.0000
Mg: 0.3661 0.3626 0.6769
Ti: 0.4061 0.8937 0.7565
Ti: 0.8972 0.4060 0.7592
Bi: 0.7016 0.6975 0.2801
O: 0.0224 0.6093 0.1041
O: 0.1051 0.6024 0.6578
O: 0.1424 0.1402 0.7356
O: 0.5969 0.5929 0.6233
O: 0.6025 0.0135 0.1014
O: 0.6080 0.1031 0.6620

Energy of formation, eV per formula unit: -27.7
Energy, eV per atom: -6.901
Volume, Å³/f.u.: 156.7



# 3
DFT (PBE-GGA) results for an optimized crystal structure of HgH20C6N2Cl4.

Lattice parameters (Å, degrees): 6.6676 13.7374 20.0425 90.00 107.29 90.00
Fractional coordinates of all 132 atoms:
Hg: 0.0643 0.2427 0.3445
Hg: 0.0643 0.2573 0.8445
Hg: 0.9357 0.7427 0.1555
Hg: 0.9357 0.7573 0.6555
H: 0.0754 0.6422 0.4299
H: 0.0754 0.8578 0.9299
H: 0.0810 0.6571 0.5200
H: 0.0810 0.8429 0.0200
H: 0.0861 0.6843 0.9165
H: 0.0861 0.8157 0.4165
H: 0.0922 0.6672 0.0065
H: 0.0922 0.8328 0.5065
H: 0.1556 0.5048 0.7398
H: 0.1556 0.9952 0.2398
H: 0.1971 0.5170 0.1552
H: 0.1971 0.9830 0.6552
H: 0.2609 0.5508 0.8269
H: 0.2609 0.9492 0.3269
H: 0.2724 0.5818 0.4981
H: 0.2724 0.9182 0.9981
H: 0.2915 0.6132 0.9751
H: 0.2915 0.8868 0.4751
H: 0.3075 0.1018 0.6821
H: 0.3075 0.3982 0.1821
H: 0.3111 0.6141 0.7543
H: 0.3111 0.8859 0.2543
H: 0.3324 0.5724 0.2751
H: 0.3324 0.9276 0.7751
H: 0.3469 0.7197 0.3884
H: 0.3469 0.7803 0.8884
H: 0.3707 0.0364 0.6125
H: 0.3707 0.4636 0.1125
H: 0.3936 0.0572 0.1787
H: 0.3936 0.4428 0.6787
H: 0.4079 0.7400 0.5404
H: 0.4079 0.7600 0.0404
H: 0.4372 0.0475 0.7997
H: 0.4372 0.4525 0.2997
H: 0.4402 0.2170 0.5489
H: 0.4402 0.2830 0.0489
H: 0.4611 0.1535 0.0437
H: 0.4611 0.3465 0.5437
H: 0.4644 0.0847 0.3029
H: 0.4644 0.4153 0.8029
H: 0.5356 0.5847 0.1971
H: 0.5356 0.9153 0.6971
H: 0.5389 0.6535 0.4563
H: 0.5389 0.8465 0.9563
H: 0.5598 0.7170 0.9511
H: 0.5598 0.7830 0.4511
H: 0.5628 0.5475 0.7003
H: 0.5628 0.9525 0.2003
H: 0.5921 0.2400 0.9596
H: 0.5921 0.2600 0.4596
H: 0.6064 0.5572 0.3213
H: 0.6064 0.9428 0.8213
H: 0.6293 0.5364 0.8875
H: 0.6293 0.9636 0.3875
H: 0.6531 0.2197 0.1116
H: 0.6531 0.2803 0.6116
H: 0.6676 0.0724 0.2249
H: 0.6676 0.4276 0.7249
H: 0.6889 0.1141 0.7457
H: 0.6889 0.3859 0.2457
H: 0.6925 0.6018 0.8179
H: 0.6925 0.8982 0.3179
H: 0.7085 0.1132 0.5249
H: 0.7085 0.3868 0.0249
H: 0.7276 0.0818 0.0019
H: 0.7276 0.4182 0.5019
H: 0.7391 0.0508 0.6731
H: 0.7391 0.4492 0.1731
H: 0.8029 0.0170 0.3448
H: 0.8029 0.4830 0.8448
H: 0.8444 0.0048 0.7602
H: 0.8444 0.4952 0.2602
H: 0.9078 0.1672 0.4935
H: 0.9078 0.3328 0.9935
H: 0.9139 0.1843 0.5835
H: 0.9139 0.3157 0.0835
H: 0.9190 0.1571 0.9800
H: 0.9190 0.3429 0.4800
H: 0.9246 0.1422 0.0701
H: 0.9246 0.3578 0.5701
C: 0.1752 0.6472 0.4841
C: 0.1752 0.8528 0.9841
C: 0.1864 0.6756 0.9705
C: 0.1864 0.8244 0.4705
C: 0.2875 0.5430 0.7761
C: 0.2875 0.9570 0.2761
C: 0.3344 0.0302 0.6621
C: 0.3344 0.4698 0.1621
C: 0.4507 0.7215 0.4423
C: 0.4507 0.7785 0.9423
C: 0.4693 0.5253 0.2829
C: 0.4693 0.9747 0.7829
C: 0.5307 0.0253 0.2171
C: 0.5307 0.4747 0.7171
C: 0.5493 0.2215 0.0577
C: 0.5493 0.2785 0.5577
C: 0.6656 0.5302 0.8379
C: 0.6656 0.9698 0.3379
C: 0.7125 0.0430 0.7239
C: 0.7125 0.4570 0.2239
C: 0.8136 0.1756 0.5295
C: 0.8136 0.3244 0.0295
C: 0.8248 0.1472 0.0159
C: 0.8248 0.3528 0.5159
N: 0.3144 0.7336 0.4888
N: 0.3144 0.7664 0.9888
N: 0.4830 0.0150 0.2849
N: 0.4830 0.4850 0.7849
N: 0.5170 0.5150 0.2151
N: 0.5170 0.9850 0.7151
N: 0.6856 0.2336 0.0112
N: 0.6856 0.2664 0.5112
Cl: 0.0623 0.2152 0.2194
Cl: 0.0623 0.2848 0.7194
Cl: 0.2255 0.1030 0.9054
Cl: 0.2255 0.3970 0.4054
Cl: 0.2538 0.1029 0.4247
Cl: 0.2538 0.3971 0.9247
Cl: 0.3245 0.7298 0.1541
Cl: 0.3245 0.7702 0.6541
Cl: 0.6755 0.2298 0.3459
Cl: 0.6755 0.2702 0.8459
Cl: 0.7462 0.6029 0.0753
Cl: 0.7462 0.8971 0.5753
Cl: 0.7745 0.6030 0.5946
Cl: 0.7745 0.8970 0.0946
Cl: 0.9377 0.7152 0.2806
Cl: 0.9377 0.7848 0.7806

Energy of formation, eV per formula unit: -12.6
Energy, eV per atom: -4.779
Volume, Å³/f.u.: 438.2



# 4
DFT (PBE-GGA) results for an optimized crystal structure of AgPb3.

Lattice parameters (Å, degrees): 5.8688 5.8688 5.8688 130.61 130.61 72.44
Fractional coordinates of all 4 atoms:
Ag: 0.0000 0.0000 0.0000
Pb: 0.2500 0.7500 0.5000
Pb: 0.5000 0.5000 0.0000
Pb: 0.7500 0.2500 0.5000

Energy of formation, eV per formula unit: 0.3
Energy, eV per atom: -3.408
Volume, Å³/f.u.: 113.9



# 5
DFT (PBE-GGA) results for an optimized crystal structure of Hf4Co4Ge7.

Lattice parameters (Å, degrees): 9.6836 9.6836 9.6836 94.13 94.13 148.87
Fractional coordinates of all 30 atoms:
Hf: 0.0000 0.1949 0.1949
Hf: 0.0000 0.8051 0.8051
Hf: 0.1949 0.0000 0.1949
Hf: 0.3613 0.3613 0.7225
Hf: 0.3613 0.6387 0.0000
Hf: 0.6387 0.3613 0.0000
Hf: 0.6387 0.6387 0.2775
Hf: 0.8051 0.0000 0.8051
Co: 0.1010 0.6010 0.2021
Co: 0.1010 0.8990 0.5000
Co: 0.3990 0.6010 0.5000
Co: 0.3990 0.8990 0.7979
Co: 0.6010 0.1010 0.2021
Co: 0.6010 0.3990 0.5000
Co: 0.8990 0.1010 0.5000
Co: 0.8990 0.3990 0.7979
Ge: 0.0000 0.4059 0.4059
Ge: 0.0000 0.5941 0.5941
Ge: 0.2068 0.2068 0.4135
Ge: 0.2068 0.7932 0.0000
Ge: 0.2082 0.5000 0.7082
Ge: 0.2512 0.2512 0.0000
Ge: 0.4059 0.0000 0.4059
Ge: 0.5000 0.2082 0.7082
Ge: 0.5000 0.7918 0.2918
Ge: 0.5941 0.0000 0.5941
Ge: 0.7488 0.7488 0.0000
Ge: 0.7918 0.5000 0.2918
Ge: 0.7932 0.2068 0.0000
Ge: 0.7932 0.7932 0.5865

Energy of formation, eV per formula unit: -8.4
Energy, eV per atom: -7.266
Volume, Å³/f.u.: 226.1



# 6
DFT (PBE-GGA) results for an optimized crystal structure of Gd2CoSi2.

Lattice parameters (Å, degrees): 5.6854 5.6854 10.0138 117.31 117.31 42.75
Fractional coordinates of all 10 atoms:
Gd: 0.0019 0.0019 0.1733
Gd: 0.1870 0.1870 0.6026
Gd: 0.8130 0.8130 0.3974
Gd: 0.9981 0.9981 0.8267
Co: 0.2733 0.2733 0.1185
Co: 0.7267 0.7267 0.8815
Si: 0.3455 0.3455 0.9346
Si: 0.4998 0.4998 0.3722
Si: 0.5002 0.5002 0.6278
Si: 0.6545 0.6545 0.0654

Energy of formation, eV per formula unit: -3.6
Energy, eV per atom: -9.969
Volume, Å³/f.u.: 95.6